(1)
Computed, not measured: a relaxed structure of MgCd2Fe4O8 at the PBE+U level of DFT.

Summary:
The calculation puts the energy of formation at -1570 meV/atom. The calculation puts the energy above the most stable polymorph in this dataset at 11 meV per atom.

abc: 6.1680 6.3965 6.4595
angles: 118.84 117.93 91.16
Space group P1 (No. 1)
Asymmetric unit:
Mg (0.0000, 0.0000, 0.0000) [1 per cell]
Cd (0.2972, 0.3045, 0.5905) [1 per cell]
Cd (0.9536, 0.4555, 0.9041) [1 per cell]
Fe (0.0917, 0.8141, 0.6162) [1 per cell]
Fe (0.5255, 0.8195, 0.6141) [1 per cell]
Fe (0.6076, 0.3575, 0.2159) [1 per cell]
Fe (0.6104, 0.8707, 0.2136) [1 per cell]
O (0.3857, 0.5997, 0.1947) [1 per cell]
O (0.3866, 0.1203, 0.2378) [1 per cell]
O (0.3965, 0.1095, 0.7909) [1 per cell]
O (0.3977, 0.6980, 0.7891) [1 per cell]
O (0.8137, 0.6093, 0.1957) [1 per cell]
O (0.8312, 0.0429, 0.6613) [1 per cell]
O (0.8321, 0.6257, 0.6590) [1 per cell]
O (0.8546, 0.1290, 0.2399) [1 per cell]

(2)
Computed, not measured: a relaxed structure of La4Ni3O10 at the PBE+U level of DFT.

Summary:
The calculation puts the energy of formation at -2702 meV/atom. The calculation puts the energy above the most stable polymorph in this dataset at 15 meV per atom.

abc: 3.8730 3.8730 28.0059
angles: 90.00 90.00 90.00
Space group I4/mmm (No. 139)
Asymmetric unit:
La (0.0000, 0.0000, 0.0672) [4 per cell]
La (0.0000, 0.0000, 0.1986) [4 per cell]
Ni (0.0000, 0.0000, 0.3597) [4 per cell]
Ni (0.0000, 0.0000, 0.5000) [2 per cell]
O (0.0000, 0.0000, 0.2829) [4 per cell]
O (0.0000, 0.0000, 0.4314) [4 per cell]
O (0.0000, 0.5000, 0.0000) [4 per cell]
O (0.0000, 0.5000, 0.1398) [8 per cell]

(3)
Computed, not measured: a relaxed structure of Sr4LiMn2Cu3S4O4 at the PBE+U level of DFT.

Summary:
The calculation puts the energy of formation at -1735 meV/atom. The calculation puts the energy above the most stable polymorph in this dataset at 108 meV per atom.

abc: 5.8983 5.9166 9.2857
angles: 88.86 71.50 86.05
Space group P1 (No. 1)
Asymmetric unit:
Sr (0.0000, 0.0000, 0.0000) [1 per cell]
Sr (0.1618, 0.9710, 0.6214) [1 per cell]
Sr (0.5144, 0.5238, 0.0010) [1 per cell]
Sr (0.7319, 0.5493, 0.6223) [1 per cell]
Li (0.4828, 0.2640, 0.5425) [1 per cell]
Mn (0.1035, 0.5007, 0.8246) [1 per cell]
Mn (0.5867, 0.0223, 0.8238) [1 per cell]
Cu (0.1039, 0.7570, 0.2950) [1 per cell]
Cu (0.6118, 0.7648, 0.2970) [1 per cell]
Cu (0.6198, 0.2605, 0.2706) [1 per cell]
S (0.3032, 0.5269, 0.4260) [1 per cell]
S (0.4437, 0.0135, 0.1323) [1 per cell]
S (0.7850, 0.0006, 0.4294) [1 per cell]
S (0.9395, 0.5090, 0.1326) [1 per cell]
O (0.3516, 0.7609, 0.8123) [1 per cell]
O (0.3836, 0.2610, 0.7452) [1 per cell]
O (0.8530, 0.2616, 0.8079) [1 per cell]
O (0.8602, 0.7614, 0.7950) [1 per cell]

(4)
Computed, not measured: a relaxed structure of FeBi3Mo2O12 at the PBE+U level of DFT.

Summary:
The calculation puts the energy of formation at -1847 meV/atom.

abc: 17.1375 11.8339 5.3478
angles: 90.00 107.61 90.00
Space group C2/c (No. 15)
Asymmetric unit:
Fe (0.0000, 0.1181, 0.2500) [4 per cell]
Bi (0.0000, 0.3441, 0.7500) [4 per cell]
Bi (0.1519, 0.1124, 0.9100) [8 per cell]
Mo (0.1681, 0.3716, 0.4244) [8 per cell]
O (0.0498, 0.2033, 0.0293) [8 per cell]
O (0.0879, 0.0415, 0.5076) [8 per cell]
O (0.0904, 0.4525, 0.1969) [8 per cell]
O (0.1158, 0.2905, 0.6231) [8 per cell]
O (0.2167, 0.2876, 0.2370) [8 per cell]
O (0.2470, 0.4584, 0.6417) [8 per cell]

(5)
Computed, not measured: a relaxed structure of LiVPO5 at the PBE+U level of DFT.

Summary:
The calculation puts the energy of formation at -2583 meV/atom. The calculation puts the energy above the most stable polymorph in this dataset at 83 meV per atom.

abc: 5.3487 9.6926 7.5105
angles: 90.00 109.44 90.00
Space group P2_1/c (No. 14)
Asymmetric unit:
Li (0.0541, 0.1055, 0.2139) [4 per cell]
V (0.4855, 0.5790, 0.6544) [4 per cell]
P (0.3362, 0.6546, 0.0431) [4 per cell]
O (0.1658, 0.7132, 0.5012) [4 per cell]
O (0.2434, 0.5491, 0.1657) [4 per cell]
O (0.2922, 0.0491, 0.0147) [4 per cell]
O (0.3242, 0.5846, 0.8559) [4 per cell]
O (0.3865, 0.2181, 0.3401) [4 per cell]

(6)
Computed, not measured: a relaxed structure of Ba2YCr3O7 at the PBE+U level of DFT.

Summary:
The calculation puts the energy of formation at -2695 meV/atom. The calculation puts the energy above the most stable polymorph in this dataset at 13 meV per atom.

abc: 7.8616 8.0666 23.4294
angles: 90.00 90.00 90.00
Space group Fmm2 (No. 42)
Asymmetric unit:
Ba (0.2500, 0.2500, 0.0000) [8 per cell]
Ba (0.2500, 0.2500, 0.1811) [8 per cell]
Y (0.2500, 0.2500, 0.3421) [8 per cell]
Cr (0.0000, 0.0000, 0.0905) [4 per cell]
Cr (0.0000, 0.0000, 0.2638) [4 per cell]
Cr (0.0000, 0.0000, 0.4128) [4 per cell]
Cr (0.0000, 0.0000, 0.5914) [4 per cell]
Cr (0.0000, 0.0000, 0.7666) [4 per cell]
Cr (0.0000, 0.0000, 0.9152) [4 per cell]
O (0.0000, 0.0000, 0.0028) [4 per cell]
O (0.0000, 0.0000, 0.1804) [4 per cell]
O (0.0000, 0.0000, 0.5057) [4 per cell]
O (0.0000, 0.0000, 0.6799) [4 per cell]
O (0.0000, 0.2476, 0.2795) [8 per cell]
O (0.0000, 0.2475, 0.9022) [8 per cell]
O (0.0000, 0.2487, 0.0923) [8 per cell]
O (0.2476, 0.0000, 0.2803) [8 per cell]
O (0.2477, 0.0000, 0.9016) [8 per cell]

(7)
Computed, not measured: a relaxed structure of LiVF4 at the PBE+U level of DFT.

Summary:
The calculation puts the energy of formation at -3146 meV/atom. The calculation puts the energy above the most stable polymorph in this dataset at 72 meV per atom.

abc: 7.8777 7.9815 7.9828
angles: 97.00 97.96 97.85
Space group P1 (No. 1)
Asymmetric unit:
Li (0.0000, 0.0000, 0.0000) [1 per cell]
Li (0.0105, 0.5133, 0.8625) [1 per cell]
Li (0.0741, 0.2425, 0.6639) [1 per cell]
Li (0.2718, 0.2056, 0.9514) [1 per cell]
Li (0.6137, 0.5927, 0.6973) [1 per cell]
Li (0.9121, 0.2825, 0.1619) [1 per cell]
V (0.0686, 0.6824, 0.2581) [1 per cell]
V (0.3313, 0.3152, 0.3405) [1 per cell]
V (0.4282, 0.5945, 0.9895) [1 per cell]
V (0.5909, 0.9473, 0.8742) [1 per cell]
V (0.6855, 0.2076, 0.5126) [1 per cell]
V (0.9610, 0.8469, 0.6009) [1 per cell]
F (0.0498, 0.6880, 0.7320) [1 per cell]
F (0.0743, 0.0432, 0.7848) [1 per cell]
F (0.1449, 0.1999, 0.1432) [1 per cell]
F (0.1603, 0.8523, 0.4616) [1 per cell]
F (0.1916, 0.5070, 0.3646) [1 per cell]
F (0.2179, 0.2284, 0.5109) [1 per cell]
F (0.2292, 0.4120, 0.8664) [1 per cell]
F (0.2538, 0.7019, 0.0998) [1 per cell]
F (0.4211, 0.0567, 0.9655) [1 per cell]
F (0.4349, 0.7276, 0.7775) [1 per cell]
F (0.4423, 0.4353, 0.1723) [1 per cell]
F (0.4745, 0.1280, 0.3371) [1 per cell]
F (0.5462, 0.4118, 0.5229) [1 per cell]
F (0.5725, 0.0862, 0.6800) [1 per cell]
F (0.5913, 0.4819, 0.8872) [1 per cell]
F (0.5948, 0.8017, 0.0737) [1 per cell]
F (0.7567, 0.8155, 0.7445) [1 per cell]
F (0.7955, 0.0992, 0.9916) [1 per cell]
F (0.8049, 0.3028, 0.3495) [1 per cell]
F (0.8464, 0.0243, 0.4985) [1 per cell]
F (0.8667, 0.6759, 0.4036) [1 per cell]
F (0.8701, 0.3302, 0.6956) [1 per cell]
F (0.9549, 0.4936, 0.0824) [1 per cell]
F (0.9682, 0.8401, 0.1364) [1 per cell]

(8)
Computed, not measured: a relaxed structure of FeOF at the PBE+U level of DFT.

Summary:
The calculation puts the energy of formation at -2024 meV/atom.

abc: 14.3729 3.1295 14.4329
angles: 90.00 90.32 90.00
Space group Pm (No. 6)
Asymmetric unit:
Fe (0.0000, 0.0000, 0.0000) [1 per cell]
Fe (0.0006, 0.0000, 0.6629) [1 per cell]
Fe (0.1320, 0.5000, 0.1729) [1 per cell]
Fe (0.1361, 0.5000, 0.4938) [1 per cell]
Fe (0.1392, 0.5000, 0.8313) [1 per cell]
Fe (0.3230, 0.0000, 0.0054) [1 per cell]
Fe (0.3307, 0.0000, 0.6613) [1 per cell]
Fe (0.3321, 0.0000, 0.3315) [1 per cell]
Fe (0.4702, 0.5000, 0.1657) [1 per cell]
Fe (0.4736, 0.5000, 0.4966) [1 per cell]
Fe (0.4829, 0.5000, 0.8158) [1 per cell]
Fe (0.6526, 0.0000, 0.6775) [1 per cell]
Fe (0.6633, 0.0000, 0.9950) [1 per cell]
Fe (0.6691, 0.0000, 0.3322) [1 per cell]
Fe (0.8084, 0.5000, 0.8298) [1 per cell]
Fe (0.8220, 0.5000, 0.4838) [1 per cell]
Fe (0.8264, 0.5000, 0.1873) [1 per cell]
Fe (0.9856, 0.0000, 0.3361) [1 per cell]
O (0.0483, 0.5000, 0.2741) [1 per cell]
O (0.0507, 0.5000, 0.6014) [1 per cell]
O (0.0532, 0.5000, 0.9375) [1 per cell]
O (0.0844, 0.0000, 0.1073) [1 per cell]
O (0.0877, 0.0000, 0.4339) [1 per cell]
O (0.0888, 0.0000, 0.7693) [1 per cell]
O (0.3839, 0.5000, 0.2676) [1 per cell]
O (0.3851, 0.5000, 0.6016) [1 per cell]
O (0.4188, 0.0000, 0.7689) [1 per cell]
O (0.4208, 0.0000, 0.4355) [1 per cell]
O (0.4229, 0.0000, 0.1003) [1 per cell]
O (0.5890, 0.5000, 0.7303) [1 per cell]
O (0.7171, 0.5000, 0.2673) [1 per cell]
O (0.7181, 0.5000, 0.9368) [1 per cell]
O (0.7558, 0.0000, 0.4350) [1 per cell]
O (0.7575, 0.0000, 0.7671) [1 per cell]
O (0.8869, 0.0000, 0.2335) [1 per cell]
O (0.9230, 0.5000, 0.3987) [1 per cell]
F (0.2163, 0.0000, 0.2354) [1 per cell]
F (0.2179, 0.0000, 0.5644) [1 per cell]
F (0.2220, 0.0000, 0.8997) [1 per cell]
F (0.2513, 0.5000, 0.0671) [1 per cell]
F (0.2538, 0.5000, 0.7311) [1 per cell]
F (0.2549, 0.5000, 0.3975) [1 per cell]
F (0.3854, 0.5000, 0.9324) [1 per cell]
F (0.5491, 0.0000, 0.9012) [1 per cell]
F (0.5502, 0.0000, 0.2307) [1 per cell]
F (0.5544, 0.0000, 0.5623) [1 per cell]
F (0.5871, 0.5000, 0.3982) [1 per cell]
F (0.5918, 0.5000, 0.0663) [1 per cell]
F (0.7181, 0.5000, 0.6013) [1 per cell]
F (0.7559, 0.0000, 0.1022) [1 per cell]
F (0.8841, 0.0000, 0.5677) [1 per cell]
F (0.8851, 0.0000, 0.8988) [1 per cell]
F (0.9190, 0.5000, 0.0623) [1 per cell]
F (0.9224, 0.5000, 0.7336) [1 per cell]